Entry from the Materials Project database: crystalline Na7Mg2Ta2Si3P3O24 at its relaxed geometry (GGA-PBE).

- corrected total energy (MP2020 scheme) (eV/atom) = -7.455
- density (Mg/m³) = 3.573
- DFT formation energy (eV/atom) = -2.883

Geometry as POSCAR:
```
Na7Mg2Ta2Si3P3O24
1.0
9.043 0.000 0.000
4.511 7.846 0.000
0.089 0.008 22.255
Na Mg Ta Si P O
21 6 6 9 9 72
direct
0.000 0.000 0.000
0.006 0.267 0.499
0.013 0.659 0.239
0.020 0.348 0.161
0.049 0.967 0.679
0.309 0.312 0.678
0.310 0.641 0.841
0.339 0.991 0.084
0.347 0.973 0.590
0.354 0.344 0.330
0.386 0.660 0.508
0.620 0.044 0.498
0.662 0.317 0.922
0.666 0.658 0.003
0.680 0.315 0.416
0.688 0.945 0.158
0.700 0.611 0.324
0.713 0.974 0.846
0.956 0.018 0.331
0.982 0.364 0.845
0.998 0.659 0.764
0.003 0.655 0.100
0.004 0.659 0.905
0.332 0.993 0.440
0.340 0.985 0.733
0.671 0.325 0.565
0.673 0.323 0.271
0.004 0.662 0.610
0.332 0.000 0.937
0.339 0.991 0.233
0.666 0.330 0.068
0.667 0.327 0.771
0.998 0.663 0.396
0.004 0.953 0.503
0.006 0.363 0.004
0.042 0.990 0.831
0.044 0.282 0.340
0.333 0.286 0.829
0.383 0.621 0.663
0.625 0.995 0.341
0.669 0.621 0.174
0.706 0.954 0.003
0.289 0.372 0.503
0.297 0.657 0.001
0.335 0.703 0.339
0.377 0.326 0.174
0.624 0.701 0.833
0.669 0.034 0.665
0.718 0.656 0.503
0.958 0.328 0.664
0.965 0.031 0.172
0.008 0.833 0.839
0.015 0.829 0.561
0.033 0.437 0.065
0.041 0.470 0.341
0.126 0.170 0.399
0.140 0.031 0.174
0.140 0.178 0.670
0.142 0.014 0.891
0.152 0.967 0.772
0.163 0.696 0.341
0.165 0.161 0.994
0.171 0.185 0.280
0.175 0.474 0.841
0.178 0.471 0.559
0.179 0.695 0.054
0.181 0.955 0.504
0.188 0.625 0.665
0.189 0.483 0.447
0.197 0.475 0.166
0.233 0.628 0.941
0.301 0.197 0.504
0.305 0.826 0.284
0.313 0.201 0.770
0.329 0.814 0.995
0.341 0.814 0.670
0.361 0.778 0.397
0.367 0.152 0.887
0.368 0.153 0.175
0.460 0.333 0.232
0.463 0.361 0.501
0.480 0.490 0.722
0.480 0.528 0.603
0.482 0.522 0.330
0.484 0.500 0.012
0.490 0.814 0.175
0.499 0.300 0.120
0.513 0.778 0.892
0.515 0.013 0.674
0.515 0.971 0.992
0.516 0.295 0.828
0.518 0.016 0.400
0.529 0.961 0.281
0.539 0.812 0.780
0.544 0.820 0.503
0.637 0.519 0.828
0.650 0.519 0.113
0.654 0.134 0.609
0.657 0.153 0.332
0.675 0.150 0.015
0.687 0.510 0.232
0.701 0.125 0.722
0.707 0.493 0.502
0.781 0.838 0.062
0.806 0.670 0.841
0.816 0.813 0.340
0.820 0.668 0.557
0.824 0.885 0.944
0.827 0.643 0.445
0.830 0.134 0.502
0.831 0.650 0.167
0.835 0.331 0.012
0.840 0.854 0.665
0.846 0.346 0.722
0.852 0.317 0.332
0.854 0.175 0.829
0.862 0.110 0.229
0.868 0.152 0.116
0.876 0.305 0.609
0.960 0.478 0.944
0.970 0.497 0.663
0.988 0.843 0.444
0.991 0.854 0.161
```


Entry from the Materials Project database: crystalline ErCr6Ge6 at its relaxed geometry (GGA-PBE).

- density (Mg/m³) = 8.117
- DFT formation energy (eV/atom) = -0.198

Geometry as POSCAR:
```
ErCr6Ge6
1.0
5.101 0.000 0.000
-2.551 4.418 0.000
0.000 0.000 8.306
Er Cr Ge
1 6 6
direct
0.000 0.000 0.000
0.000 0.500 0.250
0.000 0.500 0.750
0.500 0.000 0.250
0.500 0.000 0.750
0.500 0.500 0.250
0.500 0.500 0.750
0.000 0.000 0.345
0.000 0.000 0.655
0.333 0.667 0.000
0.333 0.667 0.500
0.667 0.333 0.000
0.667 0.333 0.500
```


Entry from the Materials Project database: crystalline MgHOF at its relaxed geometry (GGA-PBE).

- corrected total energy (MP2020 scheme) (eV/atom) = -5.669
- density (Mg/m³) = 2.653
- DFT formation energy (eV/atom) = -2.705

Geometry as POSCAR:
```
MgHOF
1.0
10.219 0.000 0.000
0.000 3.127 0.000
0.000 0.000 4.726
Mg H O F
4 4 4 4
direct
0.132 0.250 0.011
0.368 0.750 0.511
0.632 0.250 0.489
0.868 0.750 0.989
0.071 0.750 0.589
0.429 0.250 0.089
0.571 0.750 0.911
0.929 0.250 0.411
0.050 0.750 0.789
0.450 0.250 0.289
0.550 0.750 0.711
0.950 0.250 0.211
0.207 0.750 0.252
0.293 0.250 0.752
0.707 0.750 0.248
0.793 0.250 0.748
```


Entry from the Materials Project database: crystalline Cr4FeCuS8 at its relaxed geometry (GGA-PBE).

- corrected total energy (MP2020 scheme) (eV/atom) = -6.907
- density (Mg/m³) = 3.983
- DFT formation energy (eV/atom) = -0.887

Geometry as POSCAR:
```
Cr4FeCuS8
1.0
0.000 4.956 4.956
4.956 0.000 4.956
4.956 4.956 0.000
Cr Fe Cu S
4 1 1 8
direct
0.377 0.377 0.377
0.377 0.377 0.868
0.377 0.868 0.377
0.868 0.377 0.377
0.000 0.000 0.000
0.750 0.750 0.750
0.133 0.133 0.133
0.133 0.133 0.601
0.133 0.601 0.133
0.149 0.617 0.617
0.601 0.133 0.133
0.617 0.149 0.617
0.617 0.617 0.149
0.617 0.617 0.617
```


Entry from the Materials Project database: crystalline CaCuBiO5 at its relaxed geometry (GGA-PBE).

- corrected total energy (MP2020 scheme) (eV/atom) = -5.816
- density (Mg/m³) = 5.214
- DFT formation energy (eV/atom) = -1.475
- polymorph energy (0 for the lowest one) (meV/atom) = 169

Geometry as POSCAR:
```
CaCuBiO5
1.0
5.663 0.000 0.000
0.000 15.795 0.000
0.000 0.000 11.183
Ca Cu Bi O
8 8 8 40
direct
0.010 0.054 0.141
0.010 0.446 0.641
0.490 0.554 0.141
0.490 0.946 0.641
0.510 0.054 0.359
0.510 0.446 0.859
0.990 0.554 0.359
0.990 0.946 0.859
0.019 0.096 0.596
0.019 0.404 0.096
0.481 0.596 0.596
0.481 0.904 0.096
0.519 0.096 0.904
0.519 0.404 0.404
0.981 0.596 0.904
0.981 0.904 0.404
0.061 0.734 0.156
0.061 0.766 0.656
0.439 0.234 0.156
0.439 0.266 0.656
0.561 0.734 0.344
0.561 0.766 0.844
0.939 0.234 0.344
0.939 0.266 0.844
0.081 0.201 0.678
0.081 0.299 0.178
0.144 0.521 0.817
0.144 0.979 0.317
0.181 0.634 0.028
0.181 0.866 0.528
0.192 0.564 0.544
0.192 0.936 0.044
0.236 0.154 0.275
0.236 0.346 0.775
0.264 0.654 0.275
0.264 0.846 0.775
0.308 0.064 0.544
0.308 0.436 0.044
0.319 0.134 0.028
0.319 0.366 0.528
0.356 0.021 0.817
0.356 0.479 0.317
0.419 0.701 0.678
0.419 0.799 0.178
0.581 0.201 0.822
0.581 0.299 0.322
0.644 0.521 0.683
0.644 0.979 0.183
0.681 0.634 0.472
0.681 0.866 0.972
0.692 0.564 0.956
0.692 0.936 0.456
0.736 0.154 0.225
0.736 0.346 0.725
0.764 0.654 0.225
0.764 0.846 0.725
0.808 0.064 0.956
0.808 0.436 0.456
0.819 0.134 0.472
0.819 0.366 0.972
0.856 0.021 0.683
0.856 0.479 0.183
0.919 0.701 0.822
0.919 0.799 0.322
```


Entry from the Materials Project database: crystalline PrAsSe at its relaxed geometry (GGA-PBE).

- corrected total energy (MP2020 scheme) (eV/atom) = -5.890
- density (Mg/m³) = 6.567
- DFT formation energy (eV/atom) = -1.578

Geometry as POSCAR:
```
PrAsSe
1.0
4.029 0.000 0.000
0.000 4.029 0.000
0.000 0.000 9.182
Pr As Se
2 2 2
direct
0.250 0.250 0.223
0.750 0.750 0.777
0.250 0.750 0.500
0.750 0.250 0.500
0.250 0.250 0.875
0.750 0.750 0.125
```


> What is the density in the sixth record?

6.567 Mg/m³


> Which of these has the lowest density?

MgHOF


> The lowest density belongs to which entry?

MgHOF


> Among the records above, which one has the lowest density?

MgHOF